Record 1
Compound: Li32Ti3Cr13O48
Source: the Materials Project
Functional: PBE+U
Structure: relaxed

POSCAR file:
```
Li32Ti3Cr13O48
1.0
5.047 0.000 0.000
0.051 8.726 0.000
1.673 2.728 19.238
Li Ti Cr O
32 3 13 48
Direct
0.000 0.000 0.000 Li
0.000 0.332 0.501 Li
0.116 0.127 0.125 Li
0.116 0.128 0.625 Li
0.226 0.919 0.251 Li
0.232 0.923 0.750 Li
0.239 0.255 0.750 Li
0.241 0.253 0.250 Li
0.249 0.583 0.750 Li
0.257 0.587 0.249 Li
0.366 0.378 0.875 Li
0.367 0.378 0.375 Li
0.484 0.174 0.000 Li
0.486 0.175 0.500 Li
0.487 0.503 0.500 Li
0.491 0.504 0.000 Li
0.498 0.832 0.001 Li
0.498 0.832 0.500 Li
0.616 0.628 0.125 Li
0.617 0.628 0.625 Li
0.733 0.422 0.250 Li
0.734 0.423 0.750 Li
0.742 0.752 0.250 Li
0.748 0.752 0.750 Li
0.749 0.082 0.749 Li
0.751 0.084 0.250 Li
0.866 0.877 0.875 Li
0.868 0.878 0.376 Li
0.980 0.673 0.000 Li
0.984 0.674 0.500 Li
0.992 0.001 0.500 Li
0.998 0.333 0.999 Li
0.363 0.714 0.875 Ti
0.613 0.965 0.125 Ti
0.871 0.541 0.374 Ti
0.109 0.463 0.625 Cr
0.114 0.455 0.125 Cr
0.119 0.791 0.125 Cr
0.123 0.793 0.625 Cr
0.364 0.049 0.376 Cr
0.370 0.051 0.874 Cr
0.370 0.714 0.375 Cr
0.611 0.963 0.625 Cr
0.618 0.300 0.125 Cr
0.623 0.293 0.625 Cr
0.863 0.205 0.376 Cr
0.865 0.541 0.875 Cr
0.868 0.206 0.875 Cr
0.028 0.393 0.819 O
0.029 0.392 0.318 O
0.056 0.078 0.318 O
0.059 0.079 0.817 O
0.061 0.717 0.818 O
0.067 0.720 0.319 O
0.165 0.536 0.931 O
0.174 0.540 0.431 O
0.175 0.178 0.433 O
0.177 0.177 0.932 O
0.204 0.864 0.431 O
0.205 0.863 0.931 O
0.276 0.645 0.069 O
0.276 0.651 0.569 O
0.309 0.329 0.067 O
0.313 0.968 0.068 O
0.314 0.327 0.568 O
0.323 0.969 0.569 O
0.411 0.786 0.681 O
0.414 0.786 0.181 O
0.418 0.428 0.682 O
0.426 0.428 0.182 O
0.455 0.113 0.182 O
0.458 0.105 0.681 O
0.524 0.894 0.320 O
0.527 0.899 0.819 O
0.556 0.212 0.319 O
0.556 0.214 0.819 O
0.568 0.574 0.316 O
0.570 0.573 0.818 O
0.662 0.682 0.433 O
0.668 0.680 0.933 O
0.678 0.041 0.431 O
0.678 0.043 0.931 O
0.706 0.360 0.930 O
0.707 0.357 0.431 O
0.776 0.151 0.569 O
0.777 0.149 0.069 O
0.806 0.465 0.069 O
0.816 0.825 0.568 O
0.819 0.824 0.068 O
0.821 0.468 0.569 O
0.913 0.286 0.681 O
0.918 0.930 0.682 O
0.920 0.929 0.183 O
0.926 0.292 0.181 O
0.957 0.604 0.681 O
0.958 0.608 0.180 O
```

Properties
Crystal system ... triclinic
Magnetic moment ... 26.00 μB per formula unit
Symmetry ... P1, No. 1
Calculated formation energy ... -2.3731 eV per atom

Record 2
Compound: Li24Ti7Cr5O36
Source: the Materials Project
Functional: PBE+U
Structure: relaxed

POSCAR file:
```
Li24Ti7Cr5O36
1.0
5.063 0.000 0.000
0.791 9.777 0.000
2.482 1.986 13.048
Li Ti Cr O
24 7 5 36
Direct
0.000 0.000 0.000 Li
0.011 0.749 0.695 Li
0.076 0.250 0.082 Li
0.144 0.748 0.471 Li
0.164 0.500 0.166 Li
0.185 0.249 0.864 Li
0.245 0.748 0.248 Li
0.309 0.252 0.635 Li
0.331 0.999 0.332 Li
0.351 0.749 0.027 Li
0.418 0.250 0.416 Li
0.482 0.750 0.804 Li
0.496 0.500 0.500 Li
0.517 0.249 0.196 Li
0.588 0.751 0.582 Li
0.644 0.249 0.968 Li
0.664 0.000 0.665 Li
0.681 0.751 0.361 Li
0.751 0.249 0.748 Li
0.815 0.752 0.137 Li
0.830 0.500 0.832 Li
0.848 0.250 0.528 Li
0.913 0.750 0.915 Li
0.979 0.248 0.304 Li
0.056 0.495 0.390 Ti
0.113 0.996 0.777 Ti
0.216 0.003 0.554 Ti
0.381 0.504 0.723 Ti
0.441 0.001 0.109 Ti
0.613 0.502 0.275 Ti
0.723 0.500 0.051 Ti
0.277 0.498 0.944 Cr
0.557 0.001 0.889 Cr
0.770 0.001 0.441 Cr
0.889 0.998 0.223 Cr
0.937 0.499 0.610 Cr
0.010 0.114 0.653 O
0.041 0.614 0.031 O
0.078 0.112 0.437 O
0.079 0.388 0.724 O
0.132 0.883 0.130 O
0.158 0.386 0.511 O
0.175 0.612 0.822 O
0.192 0.115 0.201 O
0.244 0.612 0.605 O
0.251 0.888 0.894 O
0.295 0.384 0.298 O
0.317 0.885 0.678 O
0.340 0.114 0.988 O
0.366 0.616 0.367 O
0.407 0.387 0.057 O
0.416 0.112 0.774 O
0.470 0.885 0.463 O
0.482 0.388 0.847 O
0.510 0.614 0.152 O
0.530 0.116 0.534 O
0.585 0.614 0.938 O
0.585 0.888 0.226 O
0.635 0.386 0.631 O
0.654 0.888 0.008 O
0.673 0.111 0.324 O
0.698 0.616 0.701 O
0.747 0.386 0.393 O
0.748 0.112 0.108 O
0.798 0.884 0.796 O
0.819 0.386 0.178 O
0.842 0.611 0.490 O
0.858 0.114 0.869 O
0.913 0.888 0.557 O
0.914 0.614 0.272 O
0.958 0.383 0.964 O
0.989 0.889 0.341 O
```

Properties
Crystal system ... triclinic
Magnetic moment ... 10.00 μB per formula unit
Symmetry ... P1, No. 1
Calculated formation energy ... -2.6661 eV per atom
Energy relative to the lowest polymorph listed for this composition ... 0.001 eV/atom

Record 3
Compound: Li32Ti3Cr13O48
Source: the Materials Project
Functional: PBE+U
Structure: relaxed

POSCAR file:
```
Li32Ti3Cr13O48
1.0
5.047 0.000 0.000
-0.030 8.729 0.000
-1.627 -2.880 19.234
Li Ti Cr O
32 3 13 48
Direct
0.000 0.000 0.000 Li
0.000 0.001 0.500 Li
0.118 0.128 0.375 Li
0.121 0.795 0.875 Li
0.122 0.794 0.375 Li
0.128 0.124 0.875 Li
0.131 0.454 0.875 Li
0.133 0.455 0.375 Li
0.249 0.249 0.750 Li
0.249 0.251 0.250 Li
0.361 0.043 0.625 Li
0.368 0.044 0.125 Li
0.370 0.376 0.125 Li
0.376 0.373 0.626 Li
0.384 0.705 0.125 Li
0.384 0.708 0.626 Li
0.500 0.500 0.000 Li
0.502 0.500 0.499 Li
0.619 0.295 0.876 Li
0.620 0.296 0.376 Li
0.622 0.626 0.875 Li
0.624 0.624 0.375 Li
0.630 0.953 0.375 Li
0.631 0.955 0.875 Li
0.748 0.750 0.251 Li
0.748 0.750 0.751 Li
0.866 0.542 0.124 Li
0.866 0.542 0.624 Li
0.874 0.877 0.624 Li
0.877 0.874 0.124 Li
0.883 0.206 0.125 Li
0.888 0.207 0.625 Li
0.504 0.164 0.502 Ti
0.746 0.086 0.748 Ti
0.749 0.412 0.248 Ti
0.005 0.335 0.000 Cr
0.005 0.337 0.500 Cr
0.245 0.586 0.250 Cr
0.245 0.913 0.750 Cr
0.254 0.578 0.751 Cr
0.254 0.922 0.251 Cr
0.495 0.164 0.000 Cr
0.496 0.828 0.500 Cr
0.505 0.835 0.001 Cr
0.751 0.077 0.250 Cr
0.753 0.422 0.751 Cr
0.995 0.664 0.000 Cr
0.996 0.671 0.499 Cr
0.050 0.053 0.692 O
0.050 0.407 0.192 O
0.059 0.047 0.192 O
0.060 0.415 0.694 O
0.092 0.733 0.695 O
0.093 0.730 0.195 O
0.158 0.517 0.555 O
0.160 0.513 0.056 O
0.190 0.834 0.557 O
0.200 0.196 0.559 O
0.200 0.839 0.056 O
0.207 0.196 0.057 O
0.293 0.304 0.943 O
0.296 0.304 0.443 O
0.300 0.661 0.945 O
0.311 0.662 0.444 O
0.340 0.978 0.444 O
0.340 0.986 0.944 O
0.412 0.764 0.807 O
0.413 0.773 0.306 O
0.440 0.088 0.307 O
0.441 0.450 0.808 O
0.443 0.088 0.806 O
0.444 0.449 0.307 O
0.549 0.907 0.694 O
0.550 0.554 0.193 O
0.561 0.550 0.693 O
0.562 0.912 0.194 O
0.588 0.227 0.193 O
0.588 0.235 0.693 O
0.662 0.013 0.056 O
0.662 0.015 0.557 O
0.689 0.700 0.557 O
0.698 0.339 0.056 O
0.701 0.342 0.556 O
0.707 0.696 0.058 O
0.793 0.803 0.943 O
0.801 0.160 0.945 O
0.806 0.162 0.444 O
0.808 0.800 0.442 O
0.838 0.486 0.443 O
0.838 0.486 0.944 O
0.910 0.266 0.306 O
0.910 0.272 0.806 O
0.940 0.588 0.807 O
0.940 0.950 0.307 O
0.954 0.946 0.808 O
0.955 0.592 0.307 O
```

Properties
Crystal system ... triclinic
Magnetic moment ... 26.00 μB per formula unit
Symmetry ... P1, No. 1
Calculated formation energy ... -2.3735 eV per atom

Record 4
Compound: Li32Ti3Cr13O48
Source: the Materials Project
Functional: PBE+U
Structure: relaxed

POSCAR file:
```
Li32Ti3Cr13O48
1.0
5.061 0.000 0.000
0.015 8.734 0.000
1.698 2.805 19.282
Li Ti Cr O
32 3 13 48
Direct
0.000 0.000 0.000 Li
0.000 0.002 0.499 Li
0.002 0.329 0.499 Li
0.007 0.331 0.000 Li
0.123 0.127 0.124 Li
0.124 0.126 0.625 Li
0.233 0.918 0.750 Li
0.239 0.921 0.249 Li
0.248 0.252 0.249 Li
0.250 0.252 0.750 Li
0.256 0.582 0.249 Li
0.267 0.586 0.749 Li
0.376 0.378 0.874 Li
0.377 0.377 0.375 Li
0.494 0.174 0.498 Li
0.494 0.503 0.999 Li
0.497 0.174 0.000 Li
0.500 0.503 0.499 Li
0.505 0.830 0.500 Li
0.506 0.832 0.999 Li
0.622 0.628 0.623 Li
0.627 0.628 0.124 Li
0.740 0.420 0.250 Li
0.741 0.421 0.750 Li
0.749 0.754 0.250 Li
0.750 0.752 0.749 Li
0.758 0.083 0.749 Li
0.765 0.084 0.249 Li
0.876 0.878 0.374 Li
0.877 0.877 0.875 Li
0.992 0.674 0.999 Li
0.998 0.675 0.500 Li
0.381 0.041 0.372 Ti
0.618 0.964 0.627 Ti
0.881 0.541 0.872 Ti
0.119 0.790 0.625 Cr
0.121 0.455 0.125 Cr
0.129 0.455 0.623 Cr
0.130 0.791 0.125 Cr
0.369 0.049 0.876 Cr
0.370 0.704 0.375 Cr
0.381 0.714 0.874 Cr
0.620 0.964 0.124 Cr
0.627 0.299 0.124 Cr
0.629 0.300 0.624 Cr
0.870 0.204 0.875 Cr
0.870 0.549 0.375 Cr
0.880 0.214 0.374 Cr
0.034 0.393 0.319 O
0.037 0.392 0.818 O
0.063 0.078 0.818 O
0.063 0.711 0.318 O
0.076 0.719 0.818 O
0.077 0.073 0.315 O
0.170 0.181 0.431 O
0.182 0.540 0.931 O
0.183 0.178 0.932 O
0.185 0.540 0.431 O
0.213 0.864 0.931 O
0.215 0.856 0.430 O
0.281 0.648 0.069 O
0.288 0.640 0.568 O
0.316 0.327 0.567 O
0.317 0.330 0.067 O
0.318 0.965 0.568 O
0.334 0.969 0.068 O
0.416 0.785 0.181 O
0.424 0.785 0.681 O
0.432 0.425 0.182 O
0.436 0.427 0.681 O
0.462 0.112 0.681 O
0.469 0.107 0.180 O
0.532 0.893 0.820 O
0.537 0.892 0.318 O
0.563 0.578 0.317 O
0.564 0.211 0.818 O
0.576 0.219 0.318 O
0.577 0.573 0.816 O
0.669 0.681 0.932 O
0.682 0.040 0.430 O
0.683 0.677 0.432 O
0.685 0.040 0.931 O
0.712 0.364 0.431 O
0.715 0.356 0.931 O
0.784 0.148 0.568 O
0.786 0.151 0.068 O
0.814 0.464 0.568 O
0.816 0.465 0.068 O
0.824 0.825 0.068 O
0.830 0.823 0.567 O
0.922 0.931 0.683 O
0.926 0.929 0.181 O
0.933 0.288 0.181 O
0.936 0.293 0.681 O
0.964 0.603 0.181 O
0.968 0.611 0.679 O
```

Properties
Crystal system ... triclinic
Magnetic moment ... 26.00 μB per formula unit
Symmetry ... P1, No. 1
Calculated formation energy ... -2.3739 eV per atom

Record 5
Compound: Li2TiCrO4
Source: the Materials Project
Functional: PBE+U
Structure: relaxed

POSCAR file:
```
Li2TiCrO4
1.0
2.952 -4.291 0.000
2.952 4.291 0.000
0.000 0.000 5.908
Li Ti Cr O
4 2 2 8
Direct
0.000 0.000 0.000 Li
0.000 0.500 0.250 Li
0.500 0.000 0.750 Li
0.500 0.500 0.500 Li
0.000 0.500 0.748 Ti
0.500 0.000 0.252 Ti
0.000 0.000 0.500 Cr
0.500 0.500 0.000 Cr
0.238 0.281 0.761 O
0.241 0.759 0.500 O
0.261 0.739 0.000 O
0.281 0.238 0.239 O
0.719 0.762 0.239 O
0.739 0.261 0.000 O
0.759 0.241 0.500 O
0.762 0.719 0.761 O
```

Properties
Crystal system ... orthorhombic
Magnetic moment ... 3.75 μB per formula unit
Symmetry ... C222, No. 21
Calculated formation energy ... -2.6538 eV per atom
Energy relative to the lowest polymorph listed for this composition ... 0.006 eV/atom

Record 6
Compound: Li4TiCrO6
Source: the Materials Project
Functional: PBE+U
Structure: relaxed

POSCAR file:
```
Li4TiCrO6
1.0
5.074 0.000 0.000
-0.001 8.786 0.000
-1.637 -0.001 9.676
Li Ti Cr O
16 4 4 24
Direct
0.000 0.000 0.000 Li
0.000 0.500 0.500 Li
0.010 0.339 0.004 Li
0.011 0.160 0.504 Li
0.249 0.002 0.751 Li
0.250 0.498 0.251 Li
0.483 0.161 0.000 Li
0.483 0.339 0.500 Li
0.500 0.000 0.500 Li
0.500 0.500 0.000 Li
0.517 0.661 0.500 Li
0.517 0.839 0.000 Li
0.750 0.502 0.749 Li
0.751 0.998 0.249 Li
0.989 0.840 0.496 Li
0.990 0.661 0.996 Li
0.256 0.668 0.740 Ti
0.257 0.832 0.240 Ti
0.743 0.168 0.760 Ti
0.744 0.332 0.260 Ti
0.239 0.165 0.250 Cr
0.239 0.335 0.750 Cr
0.761 0.665 0.250 Cr
0.761 0.835 0.750 Cr
0.099 0.678 0.361 O
0.099 0.823 0.860 O
0.105 0.177 0.865 O
0.105 0.323 0.365 O
0.149 0.004 0.364 O
0.150 0.496 0.864 O
0.358 0.501 0.632 O
0.358 0.999 0.132 O
0.387 0.318 0.140 O
0.388 0.181 0.640 O
0.396 0.676 0.136 O
0.397 0.825 0.636 O
0.603 0.175 0.364 O
0.604 0.324 0.864 O
0.612 0.819 0.360 O
0.613 0.682 0.860 O
0.642 0.001 0.868 O
0.642 0.499 0.368 O
0.850 0.504 0.136 O
0.851 0.996 0.636 O
0.895 0.677 0.635 O
0.895 0.823 0.135 O
0.901 0.177 0.140 O
0.901 0.322 0.639 O
```

Properties
Crystal system ... triclinic
Magnetic moment ... 2.00 μB per formula unit
Symmetry ... P-1, No. 2
Calculated formation energy ... -2.6033 eV per atom
Energy relative to the lowest polymorph listed for this composition ... 0.003 eV/atom